VASP calculation (GGA-PBE) on a relaxed structure of LaCu6.

```
LaCu6
1.0
-5.3137 -4.7990 7.2889
3.9300 -3.1676 0.7795
3.2491 4.9452 5.6246
Cu La
24 4
Cartesian
-1.3294 -2.1060 6.8283
3.1948 -0.9153 6.8647
4.3306 -1.8754 4.6187
2.8456 2.0896 3.6741
-0.4919 -2.6512 9.4575
3.1352 -0.3888 9.4145
-1.5237 -6.4902 7.5235
-2.4651 -1.1459 9.0743
2.7261 -2.3441 2.4669
1.5926 -1.9594 10.6806
3.3892 3.4688 6.1694
0.1576 -0.4551 5.5615
-0.9802 -5.1110 10.0189
0.2729 -1.0619 3.0123
2.3573 -0.3701 4.2354
5.2991 0.0047 8.3309
-0.8607 -0.6773 11.2260
-1.5080 -4.5744 5.8106
-1.2698 -2.6325 4.2784
-3.4336 -3.0260 5.3620
3.3734 1.5530 7.8823
1.7078 -2.5662 8.1314
1.8470 1.3651 5.8938
0.0184 -4.3865 7.7991
-3.1746 -4.1472 8.3685
0.4324 0.1158 8.4615
1.4331 -3.1371 5.2314
5.0400 1.1259 5.3244
```

## Properties
Formation enthalpy at 0 K, eV per atom: -0.13
Space group: P2_1/c (14)
Total energy, eV per atom: -4.3478

---

VASP calculation (GGA-PBE) on a relaxed structure of LaCu6.

```
LaCu6
1.0
5.1550 0.0000 0.0000
0.0000 8.1205 0.0000
0.0000 0.0000 10.2260
La Cu
4 24
Cartesian
3.8663 1.9316 0.6632
1.2888 2.1286 5.7763
3.8663 5.9919 4.4498
1.2888 6.1888 9.5628
1.2888 4.5522 4.1069
3.8663 2.8660 3.6693
1.2888 1.1943 8.7823
3.8663 3.5683 6.1192
3.8663 1.4792 7.7038
1.2888 0.4920 1.0062
2.5508 3.5365 8.2799
1.2888 5.2545 6.5568
1.2888 6.6412 2.5222
0.0267 3.5365 8.2799
1.2888 2.5810 2.5908
5.1283 0.5237 3.1669
2.6042 4.5839 1.9461
0.0267 7.5968 7.0591
3.8663 4.8667 10.0640
2.6042 0.5237 3.1669
5.1283 4.5839 1.9461
3.8663 0.8064 5.2750
1.2888 3.2538 0.1620
3.8663 6.9262 1.4437
3.8663 5.5395 7.6353
2.5508 7.5968 7.0591
3.8663 7.6285 9.2199
1.2888 7.3140 4.9510
```

## Properties
Formation enthalpy at 0 K, eV per atom: -0.13
Space group: Pnma (62)
Total energy, eV per atom: -4.3474
Magnetic moment, μB/atom: 0.000

---

VASP calculation (GGA-PBE) on a relaxed structure of LaCu13.

```
LaCu13
1.0
0.0000 5.7885 5.7885
5.7885 0.0000 5.7885
5.7885 5.7885 0.0000
Cu La
26 2
Cartesian
5.7885 7.1455 9.4951
4.4316 2.0820 5.7885
5.7885 7.8706 4.4316
3.7065 7.1455 5.7885
5.7885 7.1455 2.0820
7.8706 7.1455 5.7885
3.7065 4.4316 5.7885
5.7885 7.8706 7.1455
0.0000 0.0000 0.0000
4.4316 5.7885 7.8706
9.4951 5.7885 4.4316
7.1455 5.7885 3.7065
2.0820 5.7885 7.1455
5.7885 4.4316 9.4951
5.7885 3.7065 4.4316
4.4316 5.7885 3.7065
4.4316 9.4951 5.7885
7.1455 9.4951 5.7885
7.8706 4.4316 5.7885
7.1455 5.7885 7.8706
5.7885 5.7885 5.7885
9.4951 5.7885 7.1455
5.7885 3.7065 7.1455
5.7885 4.4316 2.0820
2.0820 5.7885 4.4316
7.1455 2.0820 5.7885
8.6828 8.6828 8.6828
2.8943 2.8943 2.8943
```

## Properties
Formation enthalpy at 0 K, eV per atom: -0.07
Space group: Fm-3c (226)
Total energy, eV per atom: -4.2281

---

VASP calculation (GGA-PBE) on a relaxed structure of LaCu4.

```
LaCu4
1.0
-3.5513 8.8659 6.3416
-9.7774 4.6712 -3.7434
3.3886 -10.6956 2.3566
Cu La
36 9
Cartesian
-7.2584 2.6011 2.8300
-6.0386 2.9524 0.5081
-3.1340 -0.0643 1.3923
-8.9554 8.5883 3.9486
-1.6113 -1.9316 1.7982
-8.0558 -0.6582 -2.5208
-4.3227 6.0693 5.7389
-7.0558 3.4921 5.1457
-1.1726 -0.2333 6.4156
-4.9974 1.4024 2.4332
-7.1389 0.7088 1.3144
-4.9175 2.3012 -1.8396
-8.1358 -1.5570 1.7520
-1.7244 -3.5461 3.7649
-5.4841 -1.1771 1.8833
0.5462 -3.0380 1.4956
-6.6328 9.3914 4.9300
-5.0826 7.8342 3.8613
-4.9566 2.0834 4.8886
-7.1718 3.5752 -1.8007
-2.9622 3.9641 5.3216
-3.8028 -3.0799 2.4033
-6.8509 -1.0873 -0.3569
-10.0341 6.1842 4.1918
0.5979 -4.6806 3.5697
-7.2422 7.0435 2.7669
-8.3289 4.7731 3.1567
-6.5353 -3.2715 0.6541
-2.8931 1.6294 6.2500
-8.2462 5.7028 -1.2631
-7.1109 5.2655 0.9746
-2.8423 2.2006 3.5346
-1.1030 0.5495 2.6945
-5.0243 0.6351 0.0396
-7.0924 1.2319 -1.1724
0.4596 -4.0121 6.1263
-1.5584 -5.1840 1.2039
-9.1681 3.0549 0.4711
-9.9027 7.0008 1.2874
-3.8851 -2.3107 -0.5587
-2.7558 2.7989 0.5372
-5.0265 4.6177 3.0969
-3.3928 -0.7515 4.3215
0.0000 0.0000 0.0000
-10.5730 10.7382 2.0611
```

## Properties
Formation enthalpy at 0 K, eV per atom: -0.16
Space group: I-4m2 (119)
Total energy, eV per atom: -4.4256